## a
MgVP2O7 | GGA+U | relaxed

Calculated values
Size of the total moment, μB per formula unit: 3.00
Space group: P2_1/c, No. 14
Crystal system: monoclinic

a b c (Å): 8.5520 7.1069 9.1825
angles (deg): 66.77 90.00 90.00
Positions (direct):
Mg1 0.9415 0.6979 0.1817
Mg2 0.4415 0.3021 0.3183
Mg3 0.5585 0.6979 0.6817
Mg4 0.0585 0.3021 0.8183
V1 0.0738 0.2367 0.3901
V2 0.9262 0.7633 0.6099
V3 0.5738 0.7633 0.1099
V4 0.4262 0.2367 0.8901
P1 0.7340 0.0610 0.7575
P2 0.2237 0.5316 0.0315
P3 0.7660 0.0610 0.2575
P4 0.2763 0.5316 0.5315
P5 0.2340 0.9390 0.7425
P6 0.7237 0.4684 0.4685
P7 0.7763 0.4684 0.9685
P8 0.2660 0.9390 0.2425
O1 0.1752 0.7495 0.9002
O2 0.6111 0.1139 0.3099
O3 0.8889 0.1139 0.8099
O4 0.3845 0.5441 0.1026
O5 0.8248 0.2505 0.0998
O6 0.1005 0.9737 0.6221
O7 0.6155 0.4559 0.8974
O8 0.0907 0.4900 0.1528
O9 0.2738 0.3787 0.4505
O10 0.8995 0.0263 0.3779
O11 0.3995 0.9737 0.1221
O12 0.7624 0.8820 0.2022
O13 0.2624 0.1180 0.2978
O14 0.3248 0.7495 0.4002
O15 0.6005 0.0263 0.8779
O16 0.1111 0.8861 0.1901
O17 0.2376 0.1180 0.7978
O18 0.9093 0.5100 0.8472
O19 0.2262 0.3787 0.9505
O20 0.7738 0.6213 0.0495
O21 0.8845 0.4559 0.3974
O22 0.4093 0.4900 0.6528
O23 0.5907 0.5100 0.3472
O24 0.3889 0.8861 0.6901
O25 0.7376 0.8820 0.7022
O26 0.1155 0.5441 0.6026
O27 0.7262 0.6213 0.5495
O28 0.6752 0.2505 0.5998

***

## b
MgVP2O7 | GGA+U | relaxed

Calculated values
Size of the total moment, μB per formula unit: 3.00
Space group: C2, No. 5
Crystal system: monoclinic

a b c (Å): 5.4896 5.4896 4.6415
angles (deg): 82.85 97.15 75.83
Positions (direct):
Mg1 0.7540 0.7540 0.5000
V1 0.1256 0.1257 0.0000
P1 0.6742 0.2521 0.4016
P2 0.2521 0.6742 0.5984
O1 0.8118 0.0772 0.6917
O2 0.3665 0.8387 0.7857
O3 0.1065 0.5003 0.7430
O4 0.0772 0.8118 0.3083
O5 0.5151 0.5151 0.5000
O6 0.5003 0.1065 0.2570
O7 0.8387 0.3665 0.2143

***

Relative energies, meV/atom: a 0; b 124.

***

## a
Rb2Nd2MgW4O16 | GGA+U | relaxed

Calculated values
Size of the total moment, μB per formula unit: 2.00
Space group: P1, No. 1
Crystal system: triclinic

a b c (Å): 7.5970 8.2150 7.5727
angles (deg): 62.99 61.89 87.39
Positions (direct):
Rb1 0.7687 0.1356 0.7825
Rb2 0.2618 0.8758 0.1782
Nd1 0.2467 0.8002 0.7305
Nd2 0.7507 0.2010 0.2578
Mg1 0.0077 0.5193 0.6095
W1 0.6799 0.6884 0.8102
W2 0.7063 0.6726 0.3047
W3 0.3019 0.3184 0.1949
W4 0.3082 0.3186 0.6923
O1 0.6178 0.3878 0.4452
O2 0.2600 0.0693 0.7770
O3 0.0203 0.3304 0.8792
O4 0.3673 0.0977 0.3606
O5 0.7719 0.6057 0.5591
O6 0.3726 0.2684 0.9425
O7 0.6274 0.9149 0.6439
O8 0.3915 0.6074 0.5504
O9 0.0294 0.2375 0.3115
O10 0.7229 0.9186 0.2420
O11 0.3576 0.5886 0.9783
O12 0.9714 0.6786 0.1123
O13 0.2199 0.3952 0.4415
O14 0.6329 0.7319 0.0718
O15 0.9809 0.7312 0.6817
O16 0.6241 0.4152 0.0314

***

## b
Rb2Nd2MgW4O16 | GGA+U | relaxed

Calculated values
Size of the total moment, μB per formula unit: 2.00
Space group: C2, No. 5
Crystal system: monoclinic

a b c (Å): 7.9209 7.9209 7.6502
angles (deg): 62.87 62.87 89.75
Positions (direct):
Rb1 0.8800 0.1200 0.7500
Rb2 0.1967 0.8033 0.2500
Nd1 0.2189 0.7811 0.7500
Nd2 0.7605 0.2395 0.2500
Mg1 0.6214 0.3786 0.7500
W1 0.6780 0.7211 0.7939
W2 0.6905 0.7022 0.2927
W3 0.2978 0.3095 0.2073
W4 0.2789 0.3220 0.7061
O1 0.5952 0.3792 0.4954
O2 0.2238 0.0562 0.7948
O3 0.0472 0.3805 0.8651
O4 0.3461 0.0751 0.3701
O5 0.7548 0.6519 0.5415
O6 0.3481 0.2452 0.9585
O7 0.6195 0.9528 0.6349
O8 0.4073 0.6320 0.5333
O9 0.0365 0.2469 0.3007
O10 0.7531 0.9635 0.1993
O11 0.3680 0.5927 0.9667
O12 0.9249 0.6539 0.1299
O13 0.2566 0.3850 0.4244
O14 0.6150 0.7434 0.0756
O15 0.9438 0.7762 0.7052
O16 0.6208 0.4048 0.0046

***

Relative energies, meV/atom: a 0; b 30.

***

## a
BaEuSnWO6 | GGA+U | relaxed

Calculated values
Size of the total moment, μB per formula unit: 7.00
Space group: F-43m, No. 216
Crystal system: cubic

a b c (Å): 6.1207 6.1207 6.1207
angles (deg): 60.00 60.00 60.00
Positions (direct):
Ba1 0.7500 0.7500 0.7500
Eu1 0.2500 0.2500 0.2500
Sn1 0.0000 0.0000 0.0000
W1 0.5000 0.5000 0.5000
O1 0.7259 0.2741 0.2741
O2 0.2741 0.7259 0.7259
O3 0.7259 0.2741 0.7259
O4 0.2741 0.7259 0.2741
O5 0.7259 0.7259 0.2741
O6 0.2741 0.2741 0.7259

***

## b
BaEuSnWO6 | GGA+U | relaxed

Calculated values
Size of the total moment, μB per formula unit: 7.00
Space group: P222, No. 16
Crystal system: orthorhombic

a b c (Å): 8.6323 8.6734 8.5821
angles (deg): 90.00 90.00 90.00
Positions (direct):
Ba1 0.0000 0.0000 0.0000
Ba2 0.5000 0.5000 0.5000
Ba3 0.5000 0.0000 0.0000
Ba4 0.0000 0.0000 0.5000
Eu1 0.0000 0.5000 0.5000
Eu2 0.5000 0.0000 0.5000
Eu3 0.5000 0.5000 0.0000
Eu4 0.0000 0.5000 0.0000
Sn1 0.7617 0.7327 0.7518
Sn2 0.2383 0.2673 0.7518
Sn3 0.2383 0.7327 0.2482
Sn4 0.7617 0.2673 0.2482
W1 0.2465 0.2610 0.2466
W2 0.7535 0.7390 0.2466
W3 0.7535 0.2610 0.7534
W4 0.2465 0.7390 0.7534
O1 0.0166 0.2348 0.2898
O2 0.9834 0.7652 0.2898
O3 0.9834 0.2348 0.7102
O4 0.0166 0.7652 0.7102
O5 0.2648 0.0476 0.1980
O6 0.2648 0.9524 0.8020
O7 0.7352 0.9524 0.1980
O8 0.7352 0.0476 0.8020
O9 0.1946 0.3055 0.0254
O10 0.8054 0.3055 0.9746
O11 0.1946 0.6945 0.9746
O12 0.8054 0.6945 0.0254
O13 0.4566 0.3131 0.2023
O14 0.5434 0.6869 0.2023
O15 0.5434 0.3131 0.7977
O16 0.4566 0.6869 0.7977
O17 0.2088 0.4878 0.3034
O18 0.2088 0.5122 0.6966
O19 0.7912 0.5122 0.3034
O20 0.7912 0.4878 0.6966
O21 0.2990 0.2172 0.4638
O22 0.7010 0.2172 0.5362
O23 0.2990 0.7828 0.5362
O24 0.7010 0.7828 0.4638

***

Relative energies, meV/atom: a 86; b 0.